The following is a DFT calculation (PBE) of crystalline NpMn2 at its relaxed geometry.

Summary:
- Density: 13.74 g/cm3
- Spin magnetization: 2.3 μB/f.u.
- E_form: 0.186 eV/atom

Cell lengths 6.9472, 6.9472, 6.9472 Å; angles 90.00, 90.00, 90.00 degrees
Last column: nearest neighbours and their distance in Å.
Space group Fd-3m (No. 227, origin choice 2)
Unique sites:
Np 0.1250 0.1250 0.1250 x8  12 Mn 2.88, 4 Np 3.01
Mn 0.0000 0.0000 0.5000 x16  6 Mn 2.46


The following is a DFT calculation (PBE) of crystalline PaSb3 at its relaxed geometry.

Summary:
- Density: 9.41 g/cm3
- E_form: -0.473 eV/atom

Cell lengths 6.3666, 6.3666, 5.9945 Å; angles 90.00, 90.00, 120.00 degrees
Last column: nearest neighbours and their distance in Å.
Space group P6_3/mmc (No. 194)
Unique sites:
Pa 0.3333 0.6667 0.2500 x2  12 Sb 3.18-3.49
Sb 0.1713 0.3426 0.7500 x6  4 Sb 3.09-3.27, 2 Pa 3.18


The following is a DFT calculation (PBE) of crystalline CeUB8 at its relaxed geometry.

Summary:
- Density: 7.61 g/cm3
- Spin magnetization: 1.4 μB/f.u.
- E_form: -0.557 eV/atom

Cell lengths 9.9912, 10.1140, 4.0107 Å; angles 90.00, 90.00, 90.00 degrees
Last column: nearest neighbours and their distance in Å.
Space group Cmmm (No. 65)
Unique sites:
Ce 0.1885 0.0000 0.0000 x4  18 B 2.72-3.01
U 0.0000 0.3112 0.0000 x4  18 B 2.70-3.02
B 0.0000 0.0881 0.5000 x4  3 B 1.70-1.78
B 0.0874 0.5000 0.5000 x4  3 B 1.71-1.75
B 0.1403 0.1826 0.5000 x8  5 B 1.70-1.85
B 0.1784 0.3567 0.5000 x8  5 B 1.71-1.85
B 0.2500 0.2500 0.2009 x8  5 B 1.61-1.77